VASP calculation (PBE-GGA) on Na2Ta3Se6 after structural relaxation.

Properties
- SG: No. 155
- E: -6.324 eV per atom
- ΔH_f (0 K): -1.200 eV/atom

Lattice parameters (Å, degrees): 15.7398 15.7398 15.7398 22.28 22.28 22.28
Fractional positions:
Na 0.0833 0.0833 0.0833
Na 0.4166 0.4166 0.4166
Na 0.5834 0.5834 0.5834
Na 0.9167 0.9167 0.9167
Ta 0.0000 0.0000 0.0000
Ta 0.1663 0.5000 0.8337
Ta 0.3332 0.3332 0.3332
Ta 0.5000 0.8337 0.1663
Ta 0.6668 0.6668 0.6668
Ta 0.8337 0.1663 0.5000
Se 0.0345 0.7028 0.3712
Se 0.1296 0.7972 0.4649
Se 0.2028 0.8704 0.5351
Se 0.2972 0.9655 0.6288
Se 0.3712 0.0345 0.7028
Se 0.4649 0.1296 0.7972
Se 0.5351 0.2028 0.8704
Se 0.6288 0.2972 0.9655
Se 0.7028 0.3712 0.0345
Se 0.7972 0.4649 0.1296
Se 0.8704 0.5351 0.2028
Se 0.9655 0.6288 0.2972